Here is LiHoO2 after structural relaxation from Materials Project. Energies are from PBE.

a b c (Å): 5.4141 5.4141 5.4141
angles (deg): 36.10 36.10 36.10
Positions (direct):
Li1 0.0000 0.0000 0.0000
Ho1 0.5000 0.5000 0.5000
O1 0.2446 0.2446 0.2446
O2 0.7554 0.7554 0.7554

Computed properties:
E_tot, eV/atom: -6.98
ρ, kg/m3: 6870
SG: R-3m, No. 166
Calculated formation energy, eV per atom: -3.223
MP2020-corrected energy, eV per atom: -7.32